(1)
Material: Na3Sc2In2P3S3O24
Method: DFT, GGA-PBE
State: relaxed

Properties
ΔH_f (0 K)	-2548	meV per atom
magnetization	0.000	μB per formula unit

Cell and atoms, written as POSCAR:
```
Na3Sc2In2P3S3O24
1.0
8.930 -0.015 -0.034
-4.478 7.735 0.043
-0.085 0.075 23.211
O Na P In S Sc
72 9 9 6 9 6
Cartesian
2.730 2.481 17.261
5.135 6.169 2.082
3.672 0.937 14.756
1.003 1.360 2.078
3.725 6.105 7.012
-0.730 6.746 13.427
-3.599 6.418 9.508
-1.000 3.887 13.454
1.722 4.913 20.024
6.182 2.856 14.757
2.665 2.789 3.176
5.480 4.001 3.140
0.581 1.538 9.495
6.061 2.786 21.416
3.763 6.201 13.651
1.631 5.038 13.406
3.768 1.143 21.444
2.812 2.753 9.835
5.055 4.166 17.263
0.871 6.512 17.515
6.079 2.436 5.630
-1.847 5.483 10.961
-0.975 6.517 5.994
0.670 1.728 16.187
-1.765 4.923 8.476
3.375 6.311 4.601
7.062 0.294 18.698
5.118 6.087 18.606
5.345 1.313 17.301
5.135 1.064 9.795
1.056 6.631 10.921
-0.789 3.564 22.512
5.518 1.160 0.621
0.970 3.778 1.816
0.636 6.647 1.881
5.425 3.872 9.820
7.914 1.333 13.582
-0.732 6.917 20.059
0.599 3.514 10.897
3.354 1.188 12.327
2.628 7.529 16.196
1.622 0.208 13.653
3.462 3.961 21.475
1.047 1.514 18.623
0.656 6.805 8.496
-1.698 4.946 1.842
2.692 2.390 0.752
-0.657 1.605 4.602
5.143 1.004 3.128
1.679 5.492 22.533
1.701 0.270 7.014
-0.804 1.600 21.167
-1.241 6.634 22.565
7.830 1.410 7.081
-1.185 3.777 20.073
0.596 3.665 17.543
-0.623 3.651 5.966
3.687 4.221 12.347
3.379 6.508 21.164
-2.790 7.531 4.573
1.654 5.322 5.957
1.042 3.777 8.376
7.312 0.177 2.077
-2.954 7.682 21.166
5.162 4.197 0.720
-1.748 5.356 17.556
6.150 2.409 12.229
2.730 7.616 9.529
3.714 4.118 5.640
3.416 1.323 5.619
-3.431 6.348 16.207
3.303 4.057 14.773
-4.474 7.759 11.649
-4.440 7.689 0.056
5.989 0.253 21.256
7.296 2.387 9.653
4.341 2.643 19.329
-0.066 5.203 15.491
1.581 2.800 5.833
4.428 2.596 7.726
-0.077 5.246 3.879
6.240 0.046 17.401
-1.896 7.737 5.806
-1.429 7.499 21.309
2.549 5.185 21.293
5.781 0.315 1.894
7.601 2.244 5.801
1.291 2.926 9.647
7.027 2.612 13.496
-2.676 5.209 9.701
4.402 7.733 19.747
8.791 0.078 15.020
-0.106 5.119 12.014
-0.017 5.291 18.965
4.487 2.573 15.868
0.016 5.244 0.434
3.101 4.868 13.547
5.744 4.820 1.932
-3.220 5.512 17.416
3.134 5.488 5.806
1.846 2.581 1.955
1.254 2.338 17.406
3.104 0.346 13.520
-1.392 2.973 21.299
1.260 7.429 9.691
4.557 2.455 4.283
4.409 2.652 11.162
8.892 0.035 3.421
0.083 0.042 8.144
-0.145 5.159 7.329
4.328 2.632 22.779
```

***

(2)
Material: Na2ScInP2SO12
Method: DFT, GGA-PBE
State: relaxed

Properties
ΔH_f (0 K)	-2635	meV per atom
magnetization	0.000	μB per formula unit

Cell and atoms, written as POSCAR:
```
Na2ScInP2SO12
1.0
8.973 0.021 0.030
-4.468 7.768 -0.030
0.078 -0.044 23.015
O Na In P S Sc
72 12 6 12 6 6
Cartesian
-3.404 6.310 16.059
5.438 1.244 17.103
-0.927 3.753 13.314
7.299 0.203 2.071
5.400 3.943 9.696
0.867 1.375 2.014
0.940 6.511 17.283
5.248 0.978 3.152
3.772 4.234 12.088
2.599 2.405 0.555
3.849 6.129 7.023
3.635 6.347 20.984
-1.758 4.978 8.268
-0.722 1.754 4.386
6.110 2.471 5.651
2.926 2.402 17.084
-1.781 5.366 10.802
1.261 1.449 18.573
0.721 3.668 17.330
6.327 2.756 14.659
1.810 0.188 6.968
5.243 4.254 0.687
7.191 0.159 18.512
-0.560 6.683 13.349
-0.574 1.441 21.005
0.745 6.716 8.399
1.669 0.151 13.572
-2.580 7.492 4.538
2.774 7.585 15.939
3.565 3.919 21.209
5.604 1.091 0.727
-0.967 3.696 19.861
-0.949 6.635 22.288
-0.618 3.412 22.399
-1.603 4.953 1.877
0.760 3.432 10.828
1.092 3.742 8.423
3.545 1.191 5.648
-0.949 6.539 5.920
5.534 4.034 3.220
0.790 1.513 9.411
3.829 0.945 14.726
2.841 2.796 9.705
3.413 6.340 4.517
6.317 2.401 12.247
0.735 6.720 1.844
5.191 1.101 9.748
7.979 1.341 13.565
-3.558 6.415 9.394
3.879 4.097 5.642
3.564 4.004 14.610
1.264 6.621 10.893
1.656 5.026 13.329
-1.624 5.381 17.296
-2.813 7.616 20.956
2.911 7.603 9.401
-0.683 6.873 19.722
1.654 5.298 5.948
3.551 1.169 12.217
1.920 4.946 19.900
8.017 1.414 6.935
5.296 4.105 17.092
3.813 6.309 13.531
5.294 6.023 18.505
2.790 2.707 3.095
-0.730 3.741 5.895
1.931 5.356 22.329
0.942 3.883 1.847
0.770 1.496 16.070
5.196 6.324 2.058
3.794 1.150 21.173
6.172 2.707 21.227
6.146 4.904 5.823
3.346 5.217 9.640
1.689 7.462 13.463
4.746 2.536 19.200
-4.358 7.635 -0.022
-1.164 2.612 1.962
-4.246 7.718 11.486
4.630 2.447 7.694
0.168 5.026 15.338
1.691 2.264 21.151
0.200 5.153 3.840
3.363 0.021 17.312
4.590 2.551 22.649
0.088 5.135 18.762
-4.433 7.749 3.449
-0.003 5.217 11.875
8.985 0.036 19.561
-0.066 5.211 0.390
1.383 2.274 17.257
6.358 -0.007 17.231
3.213 4.869 13.388
-1.267 2.836 21.104
1.835 2.599 1.889
3.173 5.489 5.775
-1.259 7.467 21.034
1.369 7.475 9.590
-2.631 5.168 9.534
3.201 0.309 13.455
5.806 4.910 1.960
7.662 2.323 5.743
1.348 2.865 9.599
2.750 5.167 21.114
5.854 5.459 17.261
7.161 2.595 13.460
5.811 0.300 1.969
2.682 0.000 5.795
8.921 0.025 8.085
0.064 -0.022 14.923
0.051 5.172 7.273
4.535 2.564 11.106
4.444 2.661 4.258
4.466 2.600 15.738
```

***

(3)
Material: NaInSnP2SO12
Method: DFT, GGA-PBE
State: relaxed

Properties
ΔH_f (0 K)	-2320	meV per atom
magnetization	0.000	μB per formula unit

Cell and atoms, written as POSCAR:
```
NaInSnP2SO12
1.0
8.795 0.000 0.000
-4.398 7.634 0.020
0.000 0.055 23.115
S O In Sn P Na
6 72 6 6 12 6
Cartesian
3.120 0.308 13.470
5.676 5.406 17.335
-1.278 2.871 21.181
5.676 0.281 1.912
3.120 5.379 5.778
1.278 2.843 9.624
5.441 1.071 0.714
2.880 7.489 9.545
-0.820 6.509 5.881
-2.614 7.457 4.551
3.786 4.040 5.692
5.505 3.910 3.208
0.820 6.537 17.439
3.742 6.191 13.605
3.440 6.521 21.087
-3.440 6.493 9.530
5.053 6.163 2.048
7.123 0.085 2.049
5.217 3.974 9.727
2.614 2.359 0.685
0.958 3.931 1.818
-0.612 6.603 13.404
5.180 4.124 0.667
0.656 3.655 17.451
0.612 1.505 9.538
-0.783 1.588 4.513
3.440 1.395 5.664
7.054 0.296 18.610
3.354 1.098 12.272
-1.044 3.661 19.983
-0.678 3.481 22.410
3.742 1.119 21.297
1.517 4.954 13.391
1.741 5.395 22.476
7.687 1.374 7.054
-1.672 5.211 17.472
2.725 2.648 9.760
3.720 0.918 14.699
0.783 6.687 8.379
2.656 2.804 3.207
1.672 5.184 5.915
1.044 3.634 8.426
1.784 4.949 19.954
-0.612 1.532 21.095
1.741 0.269 7.053
-1.784 4.922 8.397
6.070 2.675 21.318
3.354 6.169 4.580
-2.880 7.517 21.102
1.108 1.401 18.611
2.880 2.418 17.237
-0.958 3.958 13.375
5.053 1.092 9.740
6.139 2.832 14.764
-1.108 6.500 22.477
3.290 3.937 14.766
2.614 7.485 16.109
0.820 1.411 2.015
-0.783 6.714 19.936
5.076 0.891 3.141
0.783 1.615 16.070
6.181 2.386 12.243
-1.517 4.926 1.833
3.720 5.990 7.007
0.612 6.576 1.846
7.975 1.438 13.573
5.010 4.067 17.250
1.108 6.473 10.920
3.578 4.001 21.285
-1.741 5.367 10.918
5.356 1.422 17.221
5.915 2.391 5.679
-0.656 3.628 5.894
1.672 0.113 13.606
-3.354 6.197 16.137
3.615 4.151 12.224
5.076 6.017 18.564
0.678 3.454 10.853
0.076 0.039 3.427
4.322 2.630 22.696
4.473 2.602 11.138
0.076 5.165 18.850
-0.076 5.138 7.292
8.719 0.067 14.984
4.395 2.594 15.824
0.002 0.058 19.670
-0.002 0.031 8.112
4.400 2.567 4.266
-0.002 5.102 0.421
0.002 5.130 11.978
-2.612 5.160 9.632
7.480 2.245 5.763
5.712 4.781 1.917
1.785 2.597 1.920
1.315 7.343 9.628
1.315 2.272 17.320
2.612 5.188 21.190
3.083 4.808 13.474
7.010 2.625 13.478
-1.315 7.371 21.186
6.183 0.089 17.324
2.612 0.062 5.766
4.273 2.510 19.319
4.273 7.581 11.628
-0.124 5.018 3.916
0.124 5.045 15.473
4.522 2.482 7.762
-4.273 7.554 0.070
```

***

(4)
Material: NaIn2Sn2P3S3O24
Method: DFT, GGA-PBE
State: relaxed

Properties
ΔH_f (0 K)	-2193	meV per atom
magnetization	0.000	μB per formula unit

Cell and atoms, written as POSCAR:
```
NaIn2Sn2P3S3O24
1.0
8.823 -0.003 -0.007
-4.414 7.646 0.001
-0.017 -0.010 23.129
O S Sn P In Na
72 9 6 9 6 3
Cartesian
-3.469 6.349 9.510
0.642 3.438 10.926
-1.012 6.357 5.868
3.694 6.156 13.657
-1.751 5.379 10.932
1.012 6.369 17.520
0.627 6.501 1.741
3.373 6.310 4.511
6.205 2.267 12.289
-1.073 3.713 19.926
3.715 0.860 14.698
5.560 1.092 0.656
6.215 2.795 14.684
5.111 6.145 2.087
5.373 1.247 17.229
-1.112 6.495 22.410
4.951 4.072 17.239
-0.938 3.746 13.316
-2.807 7.427 21.027
0.667 1.599 16.104
0.879 3.806 1.775
-0.690 1.600 4.570
-0.655 3.525 5.880
4.997 6.096 18.624
0.906 1.290 2.125
6.067 2.328 5.664
7.757 1.376 7.013
5.375 3.831 9.786
3.670 1.029 21.317
7.899 1.329 13.679
5.063 0.858 3.188
2.738 2.302 17.202
5.118 4.254 0.702
3.415 6.302 21.050
2.778 2.665 9.778
2.613 2.869 3.163
-0.699 6.743 19.990
-0.617 1.466 21.024
-3.374 6.300 16.073
1.749 5.343 22.395
3.436 1.243 5.709
2.682 7.419 16.058
3.839 4.068 5.679
2.611 2.310 0.635
-0.659 3.486 22.452
2.771 7.456 9.481
3.428 3.890 21.335
1.109 6.504 10.882
1.596 4.964 13.292
1.076 3.736 8.388
7.132 0.280 18.597
1.613 0.141 13.679
3.715 4.233 12.299
1.703 0.255 7.042
-0.693 6.569 13.300
0.562 1.466 9.454
3.737 6.088 7.070
5.550 3.970 3.130
0.654 3.505 17.474
5.988 2.702 21.319
3.290 1.108 12.292
-1.675 5.318 17.479
0.670 6.759 8.448
5.105 1.016 9.816
1.074 1.346 18.552
1.750 4.864 19.971
-1.720 4.845 8.390
-1.618 4.962 1.773
3.258 3.971 14.694
7.243 0.101 2.126
-2.737 7.417 4.505
1.614 5.309 5.870
5.714 4.805 1.931
2.568 5.078 21.171
1.310 7.333 9.632
7.027 2.532 13.482
1.271 2.196 17.342
-1.326 7.323 21.184
7.530 2.195 5.785
3.070 4.805 13.491
3.098 0.271 13.491
-4.324 7.603 8.179
4.403 7.642 3.379
8.750 0.004 19.749
4.376 7.593 15.018
0.032 5.047 0.438
-0.039 5.052 11.896
-2.578 5.093 9.617
1.799 2.532 1.916
5.721 0.274 1.937
-1.862 7.634 5.767
5.647 5.445 17.364
1.257 2.840 9.600
1.834 7.628 17.354
-1.308 2.863 21.172
3.146 5.439 5.777
4.433 2.485 22.791
4.309 2.505 4.275
-0.073 5.097 18.753
4.372 2.584 11.096
4.456 2.550 15.884
0.004 5.099 7.230
4.341 2.595 7.655
0.058 5.145 3.893
4.492 2.552 19.281
```